Material: Co5SbO8
Method: DFT, meta-GGA r2SCAN
State: relaxed

The structure in CIF format:
```
data_Co5SbO8
_space_group_name_H-M_alt 'P 1'
_space_group_IT_number 1
_space_group_name_Hall 'P 1'
_cell_length_a 5.850
_cell_length_b 5.864
_cell_length_c 10.435
_cell_angle_alpha 90.02
_cell_angle_beta 105.72
_cell_angle_gamma 119.84
loop_
_atom_site_label
_atom_site_fract_x
_atom_site_fract_y
_atom_site_fract_z
_atom_site_occupancy
Co1 0.000 0.000 0.000 1
Co2 0.000 0.000 0.500 1
Co3 0.000 0.500 0.000 1
Co4 0.000 0.500 0.500 1
Co5 0.363 0.432 0.299 1
Co6 0.366 0.933 0.794 1
Co7 0.500 0.000 0.500 1
Co8 0.500 0.500 0.000 1
Co9 0.634 0.067 0.206 1
Co10 0.637 0.568 0.701 1
Sb1 0.004 0.252 0.748 1
Sb2 0.996 0.748 0.252 1
O1 0.217 0.358 0.610 1
O2 0.224 0.098 0.379 1
O3 0.226 0.627 0.380 1
O4 0.231 0.865 0.595 1
O5 0.232 0.865 0.135 1
O6 0.238 0.602 0.865 1
O7 0.241 0.141 0.867 1
O8 0.246 0.371 0.106 1
O9 0.754 0.629 0.894 1
O10 0.759 0.859 0.133 1
O11 0.762 0.398 0.135 1
O12 0.768 0.135 0.865 1
O13 0.769 0.135 0.405 1
O14 0.774 0.373 0.620 1
O15 0.776 0.902 0.621 1
O16 0.783 0.642 0.390 1
```

Calculated values
formation energy from the elements = -1.304 eV per atom
density = 6.13 g/cm³
excess energy over the best structure of this formula in the dataset = 32.7 meV/atom
SG = P-1

=====

Material: Zn3Co4Sb2O12
Method: DFT, meta-GGA r2SCAN
State: relaxed

The structure in CIF format:
```
data_Zn3Co4Sb2O12
_space_group_name_H-M_alt 'P 1'
_space_group_IT_number 1
_space_group_name_Hall 'P 1'
_cell_length_a 6.148
_cell_length_b 8.518
_cell_length_c 10.284
_cell_angle_alpha 113.10
_cell_angle_beta 105.80
_cell_angle_gamma 92.70
loop_
_atom_site_label
_atom_site_fract_x
_atom_site_fract_y
_atom_site_fract_z
_atom_site_occupancy
Zn1 0.057 0.456 0.165 1
Zn2 0.274 0.860 0.505 1
Zn3 0.385 0.798 0.821 1
Zn4 0.615 0.202 0.179 1
Zn5 0.726 0.140 0.495 1
Zn6 0.943 0.544 0.835 1
Co1 0.000 0.000 0.000 1
Co2 0.156 0.152 0.824 1
Co3 0.166 0.168 0.331 1
Co4 0.331 0.326 0.653 1
Co5 0.500 0.500 0.500 1
Co6 0.669 0.674 0.347 1
Co7 0.834 0.832 0.669 1
Co8 0.844 0.848 0.176 1
Sb1 0.000 0.500 0.500 1
Sb2 0.334 0.841 0.173 1
Sb3 0.500 0.500 0.000 1
Sb4 0.666 0.159 0.827 1
O1 0.005 0.264 0.496 1
O2 0.028 0.759 0.019 1
O3 0.136 0.926 0.834 1
O4 0.163 0.426 0.347 1
O5 0.177 0.908 0.324 1
O6 0.204 0.409 0.840 1
O7 0.310 0.569 0.653 1
O8 0.332 0.065 0.162 1
O9 0.343 0.590 0.159 1
O10 0.355 0.096 0.681 1
O11 0.471 0.266 0.491 1
O12 0.495 0.741 0.010 1
O13 0.505 0.259 0.990 1
O14 0.529 0.734 0.509 1
O15 0.645 0.904 0.319 1
O16 0.657 0.410 0.841 1
O17 0.668 0.935 0.838 1
O18 0.690 0.431 0.347 1
O19 0.796 0.591 0.160 1
O20 0.823 0.092 0.676 1
O21 0.837 0.574 0.653 1
O22 0.864 0.074 0.166 1
O23 0.972 0.241 0.981 1
O24 0.995 0.736 0.504 1
```

Calculated values
formation energy from the elements = -1.463 eV per atom
density = 6.14 g/cm³
SG = P-1

=====

Material: CoSe2O5
Method: DFT, meta-GGA r2SCAN
State: relaxed

The structure in CIF format:
```
data_CoSe2O5
_space_group_name_H-M_alt 'P 1'
_space_group_IT_number 1
_space_group_name_Hall 'P 1'
_cell_length_a 6.855
_cell_length_b 10.327
_cell_length_c 6.033
_cell_angle_alpha 90.00
_cell_angle_beta 90.00
_cell_angle_gamma 90.00
loop_
_atom_site_label
_atom_site_fract_x
_atom_site_fract_y
_atom_site_fract_z
_atom_site_occupancy
Co1 0.000 0.062 0.250 1
Co2 0.000 0.938 0.750 1
Co3 0.500 0.438 0.750 1
Co4 0.500 0.562 0.250 1
Se1 0.133 0.346 0.032 1
Se2 0.133 0.654 0.532 1
Se3 0.367 0.154 0.532 1
Se4 0.367 0.846 0.032 1
Se5 0.633 0.154 0.968 1
Se6 0.633 0.846 0.468 1
Se7 0.867 0.346 0.468 1
Se8 0.867 0.654 0.968 1
O1 0.000 0.434 0.250 1
O2 0.000 0.566 0.750 1
O3 0.157 0.067 0.551 1
O4 0.157 0.933 0.051 1
O5 0.193 0.209 0.167 1
O6 0.193 0.791 0.667 1
O7 0.307 0.291 0.667 1
O8 0.307 0.709 0.167 1
O9 0.343 0.433 0.051 1
O10 0.343 0.567 0.551 1
O11 0.500 0.066 0.750 1
O12 0.500 0.934 0.250 1
O13 0.657 0.433 0.449 1
O14 0.657 0.567 0.949 1
O15 0.693 0.291 0.833 1
O16 0.693 0.709 0.333 1
O17 0.807 0.209 0.333 1
O18 0.807 0.791 0.833 1
O19 0.843 0.067 0.949 1
O20 0.843 0.933 0.449 1
```

Calculated values
formation energy from the elements = -0.914 eV per atom
density = 4.62 g/cm³
SG = Pbcn

=====

Material: Co2SnO4
Method: DFT, meta-GGA r2SCAN
State: relaxed

The structure in CIF format:
```
data_Co2SnO4
_space_group_name_H-M_alt 'P 1'
_space_group_IT_number 1
_space_group_name_Hall 'P 1'
_cell_length_a 6.130
_cell_length_b 6.130
_cell_length_c 6.130
_cell_angle_alpha 121.64
_cell_angle_beta 119.02
_cell_angle_gamma 89.44
loop_
_atom_site_label
_atom_site_fract_x
_atom_site_fract_y
_atom_site_fract_z
_atom_site_occupancy
Co1 0.000 0.000 0.500 1
Co2 0.000 0.500 0.000 1
Co3 0.388 0.138 0.250 1
Co4 0.612 0.862 0.750 1
Sn1 0.000 0.500 0.500 1
Sn2 0.500 0.500 0.000 1
O1 0.218 0.735 0.483 1
O2 0.248 0.264 0.516 1
O3 0.248 0.732 0.984 1
O4 0.249 0.265 0.983 1
O5 0.751 0.735 0.017 1
O6 0.752 0.268 0.016 1
O7 0.752 0.736 0.484 1
O8 0.782 0.265 0.517 1
```

Calculated values
formation energy from the elements = -1.434 eV per atom
density = 6.16 g/cm³
SG = Imma

=====

Material: Sr6Co5O15
Method: DFT, meta-GGA r2SCAN
State: relaxed

The structure in CIF format:
```
data_Sr6Co5O15
_space_group_name_H-M_alt 'P 1'
_space_group_IT_number 1
_space_group_name_Hall 'P 1'
_cell_length_a 6.850
_cell_length_b 6.850
_cell_length_c 6.850
_cell_angle_alpha 87.93
_cell_angle_beta 87.93
_cell_angle_gamma 87.93
loop_
_atom_site_label
_atom_site_fract_x
_atom_site_fract_y
_atom_site_fract_z
_atom_site_occupancy
Sr1 0.000 0.360 0.640 1
Sr2 0.178 0.822 0.500 1
Sr3 0.360 0.640 0.000 1
Sr4 0.500 0.178 0.822 1
Sr5 0.640 0.000 0.360 1
Sr6 0.822 0.500 0.178 1
Co1 0.000 0.000 0.000 1
Co2 0.206 0.206 0.206 1
Co3 0.404 0.404 0.404 1
Co4 0.596 0.596 0.596 1
Co5 0.794 0.794 0.794 1
O1 0.054 0.766 0.862 1
O2 0.138 0.234 0.946 1
O3 0.160 0.470 0.295 1
O4 0.234 0.946 0.138 1
O5 0.295 0.160 0.470 1
O6 0.344 0.500 0.656 1
O7 0.470 0.295 0.160 1
O8 0.500 0.656 0.344 1
O9 0.530 0.840 0.705 1
O10 0.656 0.344 0.500 1
O11 0.705 0.530 0.840 1
O12 0.766 0.862 0.054 1
O13 0.840 0.705 0.530 1
O14 0.862 0.054 0.766 1
O15 0.946 0.138 0.234 1
```

Calculated values
formation energy from the elements = -2.163 eV per atom
density = 5.49 g/cm³
SG = R32

=====

Material: Ta2CoO6
Method: DFT, meta-GGA r2SCAN
State: relaxed

The structure in CIF format:
```
data_Ta2CoO6
_space_group_name_H-M_alt 'P 1'
_space_group_IT_number 1
_space_group_name_Hall 'P 1'
_cell_length_a 4.748
_cell_length_b 9.486
_cell_length_c 10.209
_cell_angle_alpha 62.74
_cell_angle_beta 89.96
_cell_angle_gamma 89.98
loop_
_atom_site_label
_atom_site_fract_x
_atom_site_fract_y
_atom_site_fract_z
_atom_site_occupancy
Ta1 0.004 0.165 0.171 1
Ta2 0.005 0.666 0.168 1
Ta3 0.495 0.666 0.668 1
Ta4 0.496 0.165 0.670 1
Ta5 0.504 0.835 0.330 1
Ta6 0.505 0.334 0.332 1
Ta7 0.995 0.334 0.832 1
Ta8 0.996 0.835 0.829 1
Co1 0.000 0.000 0.500 1
Co2 0.000 0.500 0.500 1
Co3 0.500 0.000 0.000 1
Co4 0.500 0.500 0.000 1
O1 0.189 0.845 0.999 1
O2 0.192 0.016 0.668 1
O3 0.192 0.345 0.000 1
O4 0.202 0.514 0.675 1
O5 0.209 0.691 0.325 1
O6 0.210 0.189 0.325 1
O7 0.288 0.188 0.825 1
O8 0.291 0.690 0.825 1
O9 0.298 0.514 0.175 1
O10 0.309 0.017 0.168 1
O11 0.309 0.345 0.501 1
O12 0.312 0.846 0.499 1
O13 0.688 0.154 0.501 1
O14 0.691 0.655 0.499 1
O15 0.691 0.983 0.832 1
O16 0.702 0.486 0.825 1
O17 0.709 0.310 0.175 1
O18 0.712 0.812 0.175 1
O19 0.790 0.811 0.675 1
O20 0.791 0.309 0.675 1
O21 0.798 0.486 0.325 1
O22 0.808 0.655 0.000 1
O23 0.808 0.984 0.332 1
O24 0.811 0.155 0.001 1
```

Calculated values
formation energy from the elements = -2.660 eV per atom
density = 8.40 g/cm³
SG = P-1

=====

Material: Co2Te3O8
Method: DFT, meta-GGA r2SCAN
State: relaxed

The structure in CIF format:
```
data_Co2Te3O8
_space_group_name_H-M_alt 'P 1'
_space_group_IT_number 1
_space_group_name_Hall 'P 1'
_cell_length_a 6.854
_cell_length_b 6.854
_cell_length_c 11.553
_cell_angle_alpha 98.27
_cell_angle_beta 98.27
_cell_angle_gamma 44.28
loop_
_atom_site_label
_atom_site_fract_x
_atom_site_fract_y
_atom_site_fract_z
_atom_site_occupancy
Co1 0.028 0.431 0.351 1
Co2 0.431 0.028 0.851 1
Co3 0.569 0.972 0.149 1
Co4 0.972 0.569 0.649 1
Te1 0.062 0.669 0.946 1
Te2 0.157 0.843 0.250 1
Te3 0.331 0.938 0.554 1
Te4 0.669 0.062 0.446 1
Te5 0.843 0.157 0.750 1
Te6 0.938 0.331 0.054 1
O1 0.009 0.765 0.362 1
O2 0.010 0.151 0.356 1
O3 0.151 0.010 0.856 1
O4 0.173 0.432 0.809 1
O5 0.235 0.991 0.138 1
O6 0.251 0.272 0.029 1
O7 0.272 0.251 0.529 1
O8 0.432 0.173 0.309 1
O9 0.568 0.827 0.691 1
O10 0.728 0.749 0.471 1
O11 0.749 0.728 0.971 1
O12 0.765 0.009 0.862 1
O13 0.827 0.568 0.191 1
O14 0.849 0.990 0.144 1
O15 0.990 0.849 0.644 1
O16 0.991 0.235 0.638 1
```

Calculated values
formation energy from the elements = -1.170 eV per atom
density = 5.58 g/cm³
SG = C2/c